# LiCrCdF6

LiCrCdF6 after structural relaxation (PBE+U, Materials Project).

Cell lengths 5.212, 5.212, 9.711 Å; angles 90.00, 90.00, 120.00 degrees
Fractional positions:
Li: 0.333 0.667 0.250
Li: 0.667 0.333 0.750
Cr: 0.333 0.667 0.750
Cr: 0.667 0.333 0.250
Cd: 0.000 0.000 0.000
Cd: 0.000 0.000 0.500
F: 0.016 0.362 0.862
F: 0.016 0.654 0.638
F: 0.346 0.362 0.638
F: 0.346 0.984 0.862
F: 0.362 0.016 0.362
F: 0.362 0.346 0.138
F: 0.638 0.654 0.862
F: 0.638 0.984 0.638
F: 0.654 0.016 0.138
F: 0.654 0.638 0.362
F: 0.984 0.346 0.362
F: 0.984 0.638 0.138

Energy of formation from the pure elements   -2.915 eV per atom
Space group   No. 163
Total magnetic moment   3.00 μB per formula unit

***

# K2MgCr2CdH4O10

K2MgCr2CdH4O10 after structural relaxation (PBE+U, Materials Project).

Cell lengths 6.084, 6.203, 7.929 Å; angles 103.77, 96.03, 108.38 degrees
Fractional positions:
K: 0.000 0.000 0.000
K: 0.366 0.698 0.644
Mg: 0.982 0.433 0.300
Cr: 0.014 0.025 0.563
Cr: 0.326 0.658 0.056
Cd: 0.682 0.335 0.810
H: 0.520 0.079 0.144
H: 0.534 0.282 0.443
H: 0.617 0.404 0.125
H: 0.744 0.546 0.507
O: 0.013 0.199 0.424
O: 0.090 0.600 0.897
O: 0.266 0.106 0.715
O: 0.270 0.486 0.199
O: 0.393 0.959 0.184
O: 0.568 0.640 0.968
O: 0.615 0.423 0.544
O: 0.705 0.295 0.102
O: 0.789 0.029 0.682
O: 0.953 0.719 0.453

Energy of formation from the pure elements   -1.752 eV per atom
Space group   No. 1
Offset from the most stable computed form   0.0 meV per atom
Total magnetic moment   0.00 μB per formula unit

***

# K2MgCr2CdH4O10

K2MgCr2CdH4O10 after structural relaxation (PBE+U, Materials Project).

Cell lengths 5.953, 6.611, 7.890 Å; angles 110.05, 96.42, 107.02 degrees
Fractional positions:
K: 0.000 0.000 0.000
K: 0.214 0.495 0.395
Mg: 0.731 0.597 0.618
Cr: 0.269 0.580 0.893
Cr: 0.959 0.899 0.472
Cd: 0.620 0.206 0.722
H: 0.465 0.063 0.292
H: 0.553 0.096 0.026
H: 0.642 0.312 0.335
H: 0.707 0.378 0.125
O: 0.244 0.947 0.578
O: 0.247 0.418 0.014
O: 0.375 0.867 0.031
O: 0.475 0.516 0.748
O: 0.519 0.225 0.384
O: 0.683 0.232 0.020
O: 0.778 0.923 0.644
O: 0.814 0.590 0.369
O: 0.914 0.028 0.332
O: 0.977 0.519 0.750

Energy of formation from the pure elements   -1.706 eV per atom
Space group   No. 1
Offset from the most stable computed form   45.9 meV per atom
Total magnetic moment   0.00 μB per formula unit

***

# Mg14CrCdO16

Mg14CrCdO16 after structural relaxation (PBE+U, Materials Project).

Cell lengths 8.580, 8.580, 4.378 Å; angles 90.00, 90.00, 90.00 degrees
Fractional positions:
Mg: 0.000 0.249 0.000
Mg: 0.000 0.500 0.500
Mg: 0.000 0.751 0.000
Mg: 0.245 0.500 0.000
Mg: 0.248 0.248 0.500
Mg: 0.248 0.752 0.500
Mg: 0.249 0.000 0.000
Mg: 0.500 0.000 0.500
Mg: 0.500 0.245 0.000
Mg: 0.500 0.755 0.000
Mg: 0.751 0.000 0.000
Mg: 0.752 0.248 0.500
Mg: 0.752 0.752 0.500
Mg: 0.755 0.500 0.000
Cr: 0.000 0.000 0.500
Cd: 0.500 0.500 0.500
O: 0.000 0.000 0.000
O: 0.000 0.251 0.500
O: 0.000 0.500 0.000
O: 0.000 0.749 0.500
O: 0.235 0.500 0.500
O: 0.250 0.250 0.000
O: 0.250 0.750 0.000
O: 0.251 0.000 0.500
O: 0.500 0.000 0.000
O: 0.500 0.235 0.500
O: 0.500 0.500 0.000
O: 0.500 0.765 0.500
O: 0.749 0.000 0.500
O: 0.750 0.250 0.000
O: 0.750 0.750 0.000
O: 0.765 0.500 0.500

Energy of formation from the pure elements   -2.827 eV per atom
Space group   No. 123
Offset from the most stable computed form   5.0 meV per atom
Total magnetic moment   4.02 μB per formula unit

***

# MgCr2Cd2O8

MgCr2Cd2O8 after structural relaxation (PBE+U, Materials Project).

Cell lengths 6.623, 5.462, 5.462 Å; angles 66.45, 90.00, 90.00 degrees
Fractional positions:
Mg: 0.000 0.000 0.000
Cr: 0.000 0.305 0.305
Cr: 0.500 0.015 0.015
Cd: 0.252 0.657 0.657
Cd: 0.748 0.657 0.657
O: 0.000 0.390 0.942
O: 0.000 0.942 0.390
O: 0.210 0.401 0.401
O: 0.276 0.909 0.909
O: 0.500 0.356 0.879
O: 0.500 0.879 0.356
O: 0.724 0.909 0.909
O: 0.790 0.401 0.401

Energy of formation from the pure elements   -1.807 eV per atom
Space group   No. 38
Offset from the most stable computed form   0.0 meV per atom
Total magnetic moment   0.01 μB per formula unit

***

# MgCr2Cd2O8

MgCr2Cd2O8 after structural relaxation (PBE+U, Materials Project).

Cell lengths 5.400, 5.400, 6.895 Å; angles 93.29, 93.29, 68.49 degrees
Fractional positions:
Mg: 0.000 0.000 0.000
Cr: 0.148 0.148 0.709
Cr: 0.852 0.852 0.291
Cd: 0.500 0.500 0.000
Cd: 0.500 0.500 0.500
O: 0.197 0.750 0.244
O: 0.247 0.247 0.935
O: 0.250 0.803 0.756
O: 0.257 0.257 0.525
O: 0.743 0.743 0.475
O: 0.750 0.197 0.244
O: 0.753 0.753 0.065
O: 0.803 0.250 0.756

Energy of formation from the pure elements   -1.633 eV per atom
Space group   No. 12
Offset from the most stable computed form   173.6 meV per atom
Total magnetic moment   2.00 μB per formula unit

***

# Mg6CrCdO8

Mg6CrCdO8 after structural relaxation (PBE+U, Materials Project).

Cell lengths 4.411, 4.411, 8.668 Å; angles 90.00, 90.00, 90.00 degrees
Fractional positions:
Mg: 0.000 0.000 0.000
Mg: 0.000 0.000 0.500
Mg: 0.000 0.500 0.245
Mg: 0.000 0.500 0.755
Mg: 0.500 0.000 0.245
Mg: 0.500 0.000 0.755
Cr: 0.500 0.500 0.000
Cd: 0.500 0.500 0.500
O: 0.000 0.000 0.250
O: 0.000 0.000 0.750
O: 0.000 0.500 0.000
O: 0.000 0.500 0.500
O: 0.500 0.000 0.000
O: 0.500 0.000 0.500
O: 0.500 0.500 0.235
O: 0.500 0.500 0.765

Energy of formation from the pure elements   -2.608 eV per atom
Space group   No. 123
Total magnetic moment   3.90 μB per formula unit

***

# Mg14CrCdO16

Mg14CrCdO16 after structural relaxation (PBE+U, Materials Project).

Cell lengths 4.312, 8.587, 8.698 Å; angles 90.00, 90.00, 90.00 degrees
Fractional positions:
Mg: 0.000 0.000 0.000
Mg: 0.000 0.247 0.245
Mg: 0.000 0.247 0.755
Mg: 0.000 0.500 0.000
Mg: 0.000 0.753 0.245
Mg: 0.000 0.753 0.755
Mg: 0.500 0.000 0.247
Mg: 0.500 0.000 0.753
Mg: 0.500 0.246 0.500
Mg: 0.500 0.249 0.000
Mg: 0.500 0.500 0.244
Mg: 0.500 0.500 0.756
Mg: 0.500 0.751 0.000
Mg: 0.500 0.754 0.500
Cr: 0.000 0.000 0.500
Cd: 0.000 0.500 0.500
O: 0.000 0.000 0.235
O: 0.000 0.000 0.765
O: 0.000 0.237 0.500
O: 0.000 0.250 0.000
O: 0.000 0.500 0.235
O: 0.000 0.500 0.765
O: 0.000 0.750 0.000
O: 0.000 0.763 0.500
O: 0.500 0.000 0.000
O: 0.500 0.000 0.500
O: 0.500 0.250 0.252
O: 0.500 0.250 0.748
O: 0.500 0.500 0.000
O: 0.500 0.500 0.500
O: 0.500 0.750 0.252
O: 0.500 0.750 0.748

Energy of formation from the pure elements   -2.832 eV per atom
Space group   No. 47
Offset from the most stable computed form   0.0 meV per atom
Total magnetic moment   4.00 μB per formula unit

***

# Mg6CrCdO8

Mg6CrCdO8 after structural relaxation (PBE+U, Materials Project).

Cell lengths 4.432, 4.432, 8.602 Å; angles 90.00, 90.00, 90.00 degrees
Fractional positions:
Mg: 0.000 0.000 0.000
Mg: 0.000 0.500 0.246
Mg: 0.000 0.500 0.754
Mg: 0.500 0.000 0.246
Mg: 0.500 0.000 0.754
Mg: 0.500 0.500 0.000
Cr: 0.000 0.000 0.500
Cd: 0.500 0.500 0.500
O: 0.000 0.000 0.251
O: 0.000 0.000 0.749
O: 0.000 0.500 0.000
O: 0.000 0.500 0.500
O: 0.500 0.000 0.000
O: 0.500 0.000 0.500
O: 0.500 0.500 0.233
O: 0.500 0.500 0.767

Energy of formation from the pure elements   -2.606 eV per atom
Space group   No. 123
Total magnetic moment   3.91 μB per formula unit

***

# CrCdO4

CrCdO4 after structural relaxation (PBE+U, Materials Project).

Cell lengths 7.238, 7.238, 7.195 Å; angles 98.44, 98.44, 85.98 degrees
Fractional positions:
Cr: 0.226 0.226 0.582
Cr: 0.244 0.756 0.000
Cr: 0.756 0.244 0.000
Cr: 0.774 0.774 0.418
Cd: 0.289 0.289 0.125
Cd: 0.313 0.687 0.500
Cd: 0.687 0.313 0.500
Cd: 0.711 0.711 0.875
O: 0.004 0.279 0.522
O: 0.028 0.726 0.901
O: 0.274 0.972 0.099
O: 0.279 0.004 0.522
O: 0.284 0.284 0.811
O: 0.296 0.615 0.172
O: 0.354 0.354 0.461
O: 0.385 0.704 0.828
O: 0.615 0.296 0.172
O: 0.646 0.646 0.539
O: 0.704 0.385 0.828
O: 0.716 0.716 0.189
O: 0.721 0.996 0.478
O: 0.726 0.028 0.901
O: 0.972 0.274 0.099
O: 0.996 0.721 0.478

Energy of formation from the pure elements   -1.626 eV per atom
Space group   No. 12
Offset from the most stable computed form   11.8 meV per atom

***

# CrCdO4

CrCdO4 after structural relaxation (PBE+U, Materials Project).

Cell lengths 5.319, 5.319, 7.113 Å; angles 90.00, 90.00, 114.55 degrees
Fractional positions:
Cr: 0.143 0.857 0.750
Cr: 0.857 0.143 0.250
Cd: 0.500 0.500 0.000
Cd: 0.500 0.500 0.500
O: 0.209 0.278 0.250
O: 0.248 0.752 0.561
O: 0.248 0.752 0.939
O: 0.278 0.209 0.750
O: 0.722 0.791 0.250
O: 0.752 0.248 0.061
O: 0.752 0.248 0.439
O: 0.791 0.722 0.750

Energy of formation from the pure elements   -1.637 eV per atom
Space group   No. 63
Offset from the most stable computed form   0.0 meV per atom

***

# Cs2Cd2Mo3O12

Cs2Cd2Mo3O12 after structural relaxation (PBE+U, Materials Project).

Cell lengths 11.541, 11.541, 11.541 Å; angles 90.00, 90.00, 90.00 degrees
Fractional positions:
Cs: 0.071 0.071 0.071
Cs: 0.203 0.703 0.797
Cs: 0.297 0.297 0.297
Cs: 0.429 0.929 0.571
Cs: 0.571 0.429 0.929
Cs: 0.703 0.797 0.203
Cs: 0.797 0.203 0.703
Cs: 0.929 0.571 0.429
Cd: 0.085 0.915 0.415
Cd: 0.144 0.356 0.644
Cd: 0.356 0.644 0.144
Cd: 0.415 0.085 0.915
Cd: 0.585 0.585 0.585
Cd: 0.644 0.144 0.356
Cd: 0.856 0.856 0.856
Cd: 0.915 0.415 0.085
Mo: 0.043 0.729 0.128
Mo: 0.128 0.043 0.729
Mo: 0.229 0.372 0.957
Mo: 0.271 0.628 0.457
Mo: 0.372 0.957 0.229
Mo: 0.457 0.271 0.628
Mo: 0.543 0.771 0.872
Mo: 0.628 0.457 0.271
Mo: 0.729 0.128 0.043
Mo: 0.771 0.872 0.543
Mo: 0.872 0.543 0.771
Mo: 0.957 0.229 0.372
O: 0.002 0.581 0.149
O: 0.021 0.802 0.263
O: 0.023 0.952 0.798
O: 0.048 0.298 0.477
O: 0.079 0.191 0.739
O: 0.081 0.351 0.998
O: 0.149 0.002 0.581
O: 0.191 0.739 0.079
O: 0.198 0.763 0.479
O: 0.202 0.523 0.548
O: 0.237 0.979 0.302
O: 0.239 0.421 0.809
O: 0.261 0.579 0.309
O: 0.263 0.021 0.802
O: 0.298 0.477 0.048
O: 0.302 0.237 0.979
O: 0.309 0.261 0.579
O: 0.351 0.998 0.081
O: 0.419 0.649 0.498
O: 0.421 0.809 0.239
O: 0.452 0.702 0.977
O: 0.477 0.048 0.298
O: 0.479 0.198 0.763
O: 0.498 0.419 0.649
O: 0.502 0.919 0.851
O: 0.521 0.698 0.737
O: 0.523 0.548 0.202
O: 0.548 0.202 0.523
O: 0.579 0.309 0.261
O: 0.581 0.149 0.002
O: 0.649 0.498 0.419
O: 0.691 0.761 0.921
O: 0.698 0.737 0.521
O: 0.702 0.977 0.452
O: 0.737 0.521 0.698
O: 0.739 0.079 0.191
O: 0.761 0.921 0.691
O: 0.763 0.479 0.198
O: 0.798 0.023 0.952
O: 0.802 0.263 0.021
O: 0.809 0.239 0.421
O: 0.851 0.502 0.919
O: 0.919 0.851 0.502
O: 0.921 0.691 0.761
O: 0.952 0.798 0.023
O: 0.977 0.452 0.702
O: 0.979 0.302 0.237
O: 0.998 0.081 0.351

Energy of formation from the pure elements   -1.999 eV per atom
Space group   No. 198
Total magnetic moment   0.00 μB per formula unit